Entry 1:
# PBE-GGA Na14Mg2Zr6Si9S3O48, relaxed
data_Na14Mg2Zr6Si9S3O48
_cell_length_a 9.2327
_cell_length_b 15.9582
_cell_length_c 22.8960
_cell_angle_alpha 89.87
_cell_angle_beta 89.92
_cell_angle_gamma 89.96
_symmetry_space_group_name_H-M 'P 1'
_symmetry_Int_Tables_number 1
loop_
_symmetry_equiv_pos_as_xyz
'x,y,z'
loop_
_atom_site_label
_atom_site_type_symbol
_atom_site_fract_x
_atom_site_fract_y
_atom_site_fract_z
_atom_site_occupancy
Na1 Na 0.0000 0.0000 0.0000 1
Na2 Na 0.0007 0.3285 0.6775 1
Na3 Na 0.0050 0.9676 0.6644 1
Na4 Na 0.0219 0.6302 0.0041 1
Na5 Na 0.1221 0.1303 0.5103 1
Na6 Na 0.1395 0.4691 0.1617 1
Na7 Na 0.1415 0.8259 0.1724 1
Na8 Na 0.1429 0.5019 0.5035 1
Na9 Na 0.1780 0.8057 0.5087 1
Na10 Na 0.1861 0.4820 0.8356 1
Na11 Na 0.1954 0.1451 0.1664 1
Na12 Na 0.3136 0.3053 0.7576 1
Na13 Na 0.3148 0.9825 0.5891 1
Na14 Na 0.3163 0.6412 0.4210 1
Na15 Na 0.3159 0.6490 0.9221 1
Na16 Na 0.3279 0.9847 0.0813 1
Na17 Na 0.3295 0.3197 0.2484 1
Na18 Na 0.4508 0.8044 0.9984 1
Na19 Na 0.4583 0.1423 0.6666 1
Na20 Na 0.4941 0.5073 0.0021 1
Na21 Na 0.5042 0.8230 0.6711 1
Na22 Na 0.5074 0.7979 0.3323 1
Na23 Na 0.5108 0.1618 0.3364 1
Na24 Na 0.5124 0.1257 0.0060 1
Na25 Na 0.5192 0.4707 0.6726 1
Na26 Na 0.6280 0.9704 0.1668 1
Na27 Na 0.6332 0.6262 0.5100 1
Na28 Na 0.6394 0.3007 0.8324 1
Na29 Na 0.6407 0.3258 0.1673 1
Na30 Na 0.6446 0.6601 0.8312 1
Na31 Na 0.6540 0.0077 0.5065 1
Na32 Na 0.6868 0.6422 0.1636 1
Na33 Na 0.6970 0.3058 0.5017 1
Na34 Na 0.8162 0.4868 0.5866 1
Na35 Na 0.8206 0.8112 0.7547 1
Na36 Na 0.8218 0.1501 0.4269 1
Na37 Na 0.8287 0.1414 0.9200 1
Na38 Na 0.8300 0.4836 0.0831 1
Na39 Na 0.8321 0.8025 0.2560 1
Na40 Na 0.9451 0.6420 0.6771 1
Na41 Na 0.9515 0.9760 0.3351 1
Na42 Na 0.9631 0.3081 0.0034 1
Mg1 Mg 0.3161 0.6392 0.0621 1
Mg2 Mg 0.3237 0.6462 0.5691 1
Mg3 Mg 0.3345 0.9785 0.2369 1
Mg4 Mg 0.8136 0.4858 0.7416 1
Mg5 Mg 0.8191 0.1466 0.0672 1
Mg6 Mg 0.8283 0.1400 0.5637 1
Zr1 Zr 0.3041 0.3104 0.8950 1
Zr2 Zr 0.3112 0.3109 0.1047 1
Zr3 Zr 0.3154 0.3094 0.5980 1
Zr4 Zr 0.3153 0.6419 0.2709 1
Zr5 Zr 0.3259 0.9782 0.4347 1
Zr6 Zr 0.3270 0.6555 0.7736 1
Zr7 Zr 0.3280 0.3170 0.4031 1
Zr8 Zr 0.3339 0.9808 0.7318 1
Zr9 Zr 0.3358 0.9791 0.9377 1
Zr10 Zr 0.8092 0.4791 0.4379 1
Zr11 Zr 0.8102 0.1551 0.2697 1
Zr12 Zr 0.8104 0.4809 0.2311 1
Zr13 Zr 0.8213 0.8103 0.9006 1
Zr14 Zr 0.8279 0.4840 0.9309 1
Zr15 Zr 0.8292 0.8090 0.0965 1
Zr16 Zr 0.8297 0.1419 0.7712 1
Zr17 Zr 0.8345 0.8097 0.6066 1
Zr18 Zr 0.8406 0.8093 0.3952 1
Si1 Si 0.0250 0.3123 0.4996 1
Si2 Si 0.0301 0.6483 0.1656 1
Si3 Si 0.1144 0.1478 0.6650 1
Si4 Si 0.1216 0.8127 0.0007 1
Si5 Si 0.1699 0.1640 0.0029 1
Si6 Si 0.1730 0.4601 0.0001 1
Si7 Si 0.1814 0.7918 0.6643 1
Si8 Si 0.1817 0.8345 0.3293 1
Si9 Si 0.4662 0.5018 0.1638 1
Si10 Si 0.4665 0.4637 0.5046 1
Si11 Si 0.4732 0.1272 0.8341 1
Si12 Si 0.4728 0.1637 0.5000 1
Si13 Si 0.4754 0.8341 0.8350 1
Si14 Si 0.5236 0.1419 0.1648 1
Si15 Si 0.5285 0.4776 0.8321 1
Si16 Si 0.6166 0.6413 0.6642 1
Si17 Si 0.6188 0.9785 0.3318 1
Si18 Si 0.6698 0.3331 0.3347 1
Si19 Si 0.6704 0.6621 0.0009 1
Si20 Si 0.6714 0.6268 0.3342 1
Si21 Si 0.6781 0.0021 0.6633 1
Si22 Si 0.6808 0.9621 0.0031 1
Si23 Si 0.9623 0.3342 0.8298 1
Si24 Si 0.9654 0.2914 0.1650 1
Si25 Si 0.9694 0.9600 0.4994 1
Si26 Si 0.9714 0.6297 0.8302 1
Si27 Si 0.9748 0.6639 0.5024 1
S1 S 0.0313 0.9787 0.8346 1
S2 S 0.1140 0.4777 0.3344 1
S3 S 0.1765 0.4988 0.6665 1
S4 S 0.1765 0.1255 0.3324 1
S5 S 0.4678 0.7931 0.1670 1
S6 S 0.5306 0.8127 0.5002 1
S7 S 0.6147 0.3125 0.0011 1
S8 S 0.6770 0.2922 0.6660 1
S9 S 0.9699 0.9998 0.1681 1
O1 O 0.0013 0.8017 0.6631 1
O2 O 0.0043 0.8268 0.3377 1
O3 O 0.0073 0.1652 0.7213 1
O4 O 0.0070 0.7987 0.9476 1
O5 O 0.0157 0.1298 0.3285 1
O6 O 0.0174 0.4863 0.6706 1
O7 O 0.0189 0.8311 0.0602 1
O8 O 0.0216 0.1329 0.6065 1
O9 O 0.0244 0.4878 0.3873 1
O10 O 0.0254 0.4689 0.2810 1
O11 O 0.1212 0.9707 0.7809 1
O12 O 0.1220 0.9895 0.8874 1
O13 O 0.1250 0.6330 0.1079 1
O14 O 0.1293 0.9890 0.1733 1
O15 O 0.1296 0.3300 0.5578 1
O16 O 0.1366 0.6655 0.2226 1
O17 O 0.1390 0.2982 0.4451 1
O18 O 0.1402 0.3265 0.8379 1
O19 O 0.1453 0.3005 0.1635 1
O20 O 0.1487 0.6300 0.8272 1
O21 O 0.1496 0.6559 0.5069 1
O22 O 0.1497 0.9665 0.4929 1
O23 O 0.2042 0.8934 0.2728 1
O24 O 0.2053 0.0735 0.3860 1
O25 O 0.2048 0.5492 0.6136 1
O26 O 0.2055 0.3999 0.0582 1
O27 O 0.2085 0.4022 0.3384 1
O28 O 0.2077 0.5542 0.3306 1
O29 O 0.2077 0.7296 0.7201 1
O30 O 0.2091 0.2269 0.9485 1
O31 O 0.2141 0.9004 0.9952 1
O32 O 0.2191 0.0645 0.6741 1
O33 O 0.2234 0.2333 0.6637 1
O34 O 0.2243 0.7319 0.0076 1
O35 O 0.2391 0.5376 0.7195 1
O36 O 0.2404 0.0859 0.2804 1
O37 O 0.2432 0.2094 0.3386 1
O38 O 0.2442 0.8879 0.6746 1
O39 O 0.2446 0.5521 0.0032 1
O40 O 0.2457 0.4122 0.9439 1
O41 O 0.2470 0.0714 0.9958 1
O42 O 0.2484 0.4132 0.6626 1
O43 O 0.2506 0.2055 0.0610 1
O44 O 0.2524 0.7550 0.6053 1
O45 O 0.2519 0.8800 0.3886 1
O46 O 0.2614 0.7427 0.3270 1
O47 O 0.3905 0.5467 0.2214 1
O48 O 0.3928 0.0713 0.4949 1
O49 O 0.3928 0.2081 0.5571 1
O50 O 0.3934 0.5553 0.5060 1
O51 O 0.3941 0.4138 0.4486 1
O52 O 0.3970 0.4063 0.1610 1
O53 O 0.4003 0.8777 0.1728 1
O54 O 0.4012 0.0838 0.7760 1
O55 O 0.4035 0.8776 0.8928 1
O56 O 0.4062 0.7392 0.8313 1
O57 O 0.4082 0.2226 0.8403 1
O58 O 0.4088 0.7534 0.1151 1
O59 O 0.4133 0.0615 0.1739 1
O60 O 0.4244 0.3947 0.8425 1
O61 O 0.4237 0.5609 0.8267 1
O62 O 0.4294 0.2306 0.1628 1
O63 O 0.4344 0.8887 0.7767 1
O64 O 0.4347 0.2223 0.4422 1
O65 O 0.4367 0.7387 0.5043 1
O66 O 0.4373 0.8905 0.4952 1
O67 O 0.4384 0.0706 0.8923 1
O68 O 0.4409 0.4020 0.5616 1
O69 O 0.4422 0.7409 0.2208 1
O70 O 0.4486 0.5597 0.1072 1
O71 O 0.4924 0.3169 0.3374 1
O72 O 0.4950 0.6393 0.3273 1
O73 O 0.4973 0.6577 0.0061 1
O74 O 0.5000 0.9895 0.6727 1
O75 O 0.5010 0.9677 0.9981 1
O76 O 0.5123 0.6574 0.7227 1
O77 O 0.5140 0.3014 0.6630 1
O78 O 0.5138 0.9976 0.3899 1
O79 O 0.5170 0.6285 0.6066 1
O80 O 0.5212 0.9639 0.2747 1
O81 O 0.5226 0.3018 0.9485 1
O82 O 0.5229 0.3241 0.0543 1
O83 O 0.6202 0.8266 0.5528 1
O84 O 0.6218 0.8032 0.4471 1
O85 O 0.6237 0.4576 0.7746 1
O86 O 0.6276 0.1258 0.1094 1
O87 O 0.6284 0.1580 0.2242 1
O88 O 0.6305 0.8029 0.1644 1
O89 O 0.6315 0.4946 0.8906 1
O90 O 0.6444 0.4888 0.1730 1
O91 O 0.6448 0.4679 0.4982 1
O92 O 0.6461 0.1584 0.5041 1
O93 O 0.6495 0.1388 0.8268 1
O94 O 0.6507 0.8225 0.8382 1
O95 O 0.6949 0.0592 0.6058 1
O96 O 0.7018 0.2399 0.7195 1
O97 O 0.7044 0.9030 0.0629 1
O98 O 0.7069 0.2369 0.0058 1
O99 O 0.7066 0.3891 0.9970 1
O100 O 0.7068 0.5700 0.3922 1
O101 O 0.7081 0.3879 0.2767 1
O102 O 0.7077 0.7224 0.9446 1
O103 O 0.7139 0.7302 0.6608 1
O104 O 0.7192 0.8947 0.3415 1
O105 O 0.7256 0.5596 0.6705 1
O106 O 0.7298 0.0608 0.3273 1
O107 O 0.7355 0.2515 0.6136 1
O108 O 0.7374 0.3764 0.3931 1
O109 O 0.7366 0.7225 0.3403 1
O110 O 0.7420 0.2376 0.3306 1
O111 O 0.7438 0.3763 0.6710 1
O112 O 0.7439 0.5833 0.2764 1
O113 O 0.7478 0.9069 0.6594 1
O114 O 0.7488 0.5693 0.9973 1
O115 O 0.7509 0.0550 0.0066 1
O116 O 0.7509 0.7069 0.0585 1
O117 O 0.7550 0.0472 0.7201 1
O118 O 0.7550 0.9121 0.9487 1
O119 O 0.8848 0.2412 0.8265 1
O120 O 0.8909 0.2526 0.1078 1
O121 O 0.8922 0.3764 0.8899 1
O122 O 0.8927 0.7065 0.5592 1
O123 O 0.8950 0.7214 0.8397 1
O124 O 0.8960 0.5887 0.7737 1
O125 O 0.8977 0.9133 0.4423 1
O126 O 0.8988 0.0526 0.5025 1
O127 O 0.8987 0.5711 0.4945 1
O128 O 0.8986 0.9146 0.1649 1
O129 O 0.9017 0.3868 0.1759 1
O130 O 0.9075 0.0395 0.2220 1
O131 O 0.9209 0.7337 0.1646 1
O132 O 0.9222 0.2315 0.5061 1
O133 O 0.9261 0.5647 0.1754 1
O134 O 0.9322 0.3996 0.4937 1
O135 O 0.9369 0.7264 0.4473 1
O136 O 0.9384 0.9044 0.8386 1
O137 O 0.9392 0.0561 0.8305 1
O138 O 0.9391 0.3908 0.7721 1
O139 O 0.9402 0.2284 0.2217 1
O140 O 0.9415 0.0507 0.1160 1
O141 O 0.9425 0.5702 0.8895 1
O142 O 0.9419 0.8989 0.5567 1
O143 O 0.9933 0.4629 0.9966 1
O144 O 0.9950 0.1564 0.0078 1
# V: 13.71 Å³/atom
# total magnetization: 0.000 μB per atom
# DFT formation energy: -237.236 eV per formula unit
# density: 3.00 g/cm3

Entry 2:
# PBE-GGA LaPd5, relaxed
data_LaPd5
_cell_length_a 5.3962
_cell_length_b 5.3962
_cell_length_c 4.5121
_cell_angle_alpha 90.00
_cell_angle_beta 90.00
_cell_angle_gamma 120.00
_symmetry_space_group_name_H-M 'P 6/m m m'
_symmetry_Int_Tables_number 191
_symmetry_space_group_name_Hall '-P 6 2'
loop_
_atom_site_label
_atom_site_type_symbol
_atom_site_fract_x
_atom_site_fract_y
_atom_site_fract_z
_atom_site_occupancy
La1 La 0.0000 0.0000 0.0000 1
Pd1 Pd 0.0000 0.5000 0.5000 1
Pd2 Pd 0.3333 0.6667 0.0000 1
# V: 18.96 Å³/atom
# DFT formation energy: -3.469 eV per formula unit
# density: 9.79 g/cm3

Entry 3:
# PBE-GGA Ta2Co, relaxed
data_Ta2Co
_cell_length_a 6.1297
_cell_length_b 6.1297
_cell_length_c 4.9824
_cell_angle_alpha 90.00
_cell_angle_beta 90.00
_cell_angle_gamma 90.00
_symmetry_space_group_name_H-M 'I 4/m c m'
_symmetry_Int_Tables_number 140
_symmetry_space_group_name_Hall '-I 4 2c'
loop_
_atom_site_label
_atom_site_type_symbol
_atom_site_fract_x
_atom_site_fract_y
_atom_site_fract_z
_atom_site_occupancy
Ta1 Ta 0.1609 0.3391 0.0000 1
Co1 Co 0.0000 0.0000 0.2500 1
# V: 15.60 Å³/atom
# DFT formation energy: -0.748 eV per formula unit
# density: 14.93 g/cm3

Entry 4:
# PBE-GGA K2NaZnB5O10, relaxed
data_K2NaZnB5O10
_cell_length_a 8.0612
_cell_length_b 13.0842
_cell_length_c 19.6419
_cell_angle_alpha 90.00
_cell_angle_beta 99.41
_cell_angle_gamma 90.00
_symmetry_space_group_name_H-M 'C 1 2/c 1'
_symmetry_Int_Tables_number 15
loop_
_symmetry_equiv_pos_as_xyz
'x,y,z'
'-x,-y,-z'
'-x,y,-z+1/2'
'x,-y,z+1/2'
'x+1/2,y+1/2,z'
'-x+1/2,-y+1/2,-z'
'-x+1/2,y+1/2,-z+1/2'
'x+1/2,-y+1/2,z+1/2'
loop_
_atom_site_label
_atom_site_type_symbol
_atom_site_fract_x
_atom_site_fract_y
_atom_site_fract_z
_atom_site_occupancy
K1 K 0.0406 0.0808 0.4226 1
K2 K 0.0924 0.4100 0.9377 1
Na1 Na 0.0000 0.1511 0.7500 1
Na2 Na 0.0000 0.3471 0.2500 1
Zn1 Zn 0.2020 0.3396 0.1105 1
B1 B 0.0340 0.1634 0.5813 1
B2 B 0.1580 0.3371 0.4166 1
B3 B 0.2178 0.2787 0.6671 1
B4 B 0.2359 0.1686 0.2062 1
B5 B 0.2366 0.4655 0.7044 1
O1 O 0.0247 0.3751 0.4418 1
O2 O 0.0567 0.2308 0.6363 1
O3 O 0.1191 0.1270 0.9468 1
O4 O 0.1415 0.2680 0.3623 1
O5 O 0.1778 0.1290 0.5544 1
O6 O 0.2112 0.3904 0.6532 1
O7 O 0.2135 0.1940 0.1390 1
O8 O 0.2390 0.0646 0.2253 1
O9 O 0.2409 0.4340 0.1908 1
O10 O 0.2459 0.2585 0.7416 1
# V: 13.45 Å³/atom
# total magnetization: 0.000 μB per atom
# DFT formation energy: -50.329 eV per formula unit
# density: 2.47 g/cm3